This record from the Materials Project describes Ti3P after structural relaxation. The functional is GGA-PBE.

The formation energy comes out at -0.8579 eV per atom.

The structure in POSCAR format:
```
Ti3P
1.0
9.9567 0.0000 0.0000
0.0000 9.9567 0.0000
0.0000 0.0000 4.9790
Ti P
24 8
direct
0.1393 0.9717 0.7191 Ti
0.8190 0.2837 0.0100 Ti
0.3607 0.5283 0.7809 Ti
0.1069 0.4168 0.0350 Ti
0.7837 0.6810 0.5100 Ti
0.8607 0.0283 0.7191 Ti
0.8931 0.5832 0.0350 Ti
0.6810 0.2163 0.4900 Ti
0.1810 0.7163 0.0100 Ti
0.5283 0.6393 0.2191 Ti
0.0832 0.6069 0.5350 Ti
0.3931 0.0832 0.4650 Ti
0.9168 0.3931 0.5350 Ti
0.2163 0.3190 0.5100 Ti
0.7163 0.8190 0.9900 Ti
0.3190 0.7837 0.4900 Ti
0.0283 0.1393 0.2809 Ti
0.4168 0.8931 0.9650 Ti
0.2837 0.1810 0.9900 Ti
0.6069 0.9168 0.4650 Ti
0.6393 0.4717 0.7809 Ti
0.4717 0.3607 0.2191 Ti
0.9717 0.8607 0.2809 Ti
0.5832 0.1069 0.9650 Ti
0.5414 0.7068 0.7139 P
0.2932 0.5414 0.2861 P
0.7932 0.0414 0.2139 P
0.2068 0.9586 0.2139 P
0.9586 0.7932 0.7861 P
0.0414 0.2068 0.7861 P
0.4586 0.2932 0.7139 P
0.7068 0.4586 0.2861 P
```

This record from the Materials Project describes TbMgS3 after structural relaxation. The functional is GGA-PBE.

As for the energy above the lowest structure with this stoichiometry: 0.38 eV/f.u. The formation energy comes out at -1.5549 eV per atom.

The structure in POSCAR format:
```
TbMgS3
1.0
-2.5389 1.1031 6.3545
-0.4158 -6.7096 -1.6883
4.0293 -3.3355 4.3038
S Tb Mg
6 2 2
direct
0.2244 0.9197 0.1528 S
0.7756 0.0803 0.8472 S
0.0803 0.7756 0.8472 S
0.5787 0.5787 0.7113 S
0.9197 0.2244 0.1528 S
0.4213 0.4213 0.2887 S
0.2187 0.2187 0.7506 Tb
0.7813 0.7813 0.2494 Tb
0.3387 0.6613 0.0000 Mg
0.6613 0.3387 0.0000 Mg
```

This record from the Materials Project describes Na14La4Zr4Si9S3O48 after structural relaxation. The functional is GGA-PBE.

The formation energy comes out at -2.9456 eV per atom.

The structure in POSCAR format:
```
Na14La4Zr4Si9S3O48
1.0
-7.5038 0.1273 17.5243
-5.0785 -3.3557 -7.3285
8.4827 -21.2586 3.8573
O S Na Si Zr La
144 9 42 27 12 12
direct
0.5890 0.0020 0.5975 O
0.9047 0.9686 0.4243 O
0.3178 0.1347 0.4149 O
0.3188 0.5523 0.6334 O
0.9980 0.8025 0.7012 O
0.7542 0.6589 0.8617 O
0.3322 0.5142 0.9225 O
0.0896 0.1982 0.4204 O
0.9382 0.2990 0.5253 O
0.2578 0.8509 0.4751 O
0.5140 0.8371 0.7059 O
0.8402 0.1761 0.7409 O
0.0831 0.9755 0.9233 O
0.7492 0.3535 0.4178 O
0.8187 0.5034 0.9156 O
0.1705 0.4860 0.3589 O
0.5893 0.9995 0.1979 O
0.6658 0.4463 0.3534 O
0.0691 0.6794 0.7431 O
0.7616 0.6911 0.2421 O
0.9555 0.5532 0.1404 O
0.2690 0.6479 0.8612 O
0.7592 0.8550 0.7532 O
0.0147 0.1933 0.2038 O
0.2347 0.0885 0.6386 O
0.6562 0.4830 0.7556 O
0.9076 0.8249 0.5967 O
0.8428 0.1088 0.0297 O
0.5136 0.8159 0.4219 O
0.4032 0.7581 0.3084 O
0.1135 0.2107 0.8132 O
0.9041 0.9896 0.0881 O
0.9231 0.5233 0.7384 O
0.4349 0.5149 0.1376 O
0.4045 0.8452 0.9248 O
0.7317 0.3741 0.1388 O
0.0903 0.1774 0.0968 O
0.8315 0.1541 0.4226 O
0.7528 0.1334 0.9155 O
0.3481 0.1074 0.0275 O
0.0859 0.4863 0.2531 O
0.7074 0.1290 0.5241 O
0.4829 0.2196 0.3019 O
0.3932 0.0107 0.8111 O
0.7582 0.6661 0.9756 O
0.4946 0.8217 0.0951 O
0.0822 0.4911 0.5810 O
0.8188 0.0855 0.1333 O
0.0010 0.8411 0.0877 O
0.1549 0.8289 0.2549 O
0.2101 0.2914 0.0244 O
0.5817 0.6766 0.0812 O
0.4078 0.9946 0.6962 O
0.5005 0.1598 0.5890 O
0.6762 0.8467 0.5790 O
0.7448 0.1268 0.6341 O
0.1664 0.4819 0.4740 O
0.7064 0.2767 0.0294 O
0.2612 0.6697 0.9760 O
0.2094 0.1354 0.5288 O
0.9364 0.3550 0.6388 O
0.0728 0.6632 0.4655 O
0.6430 0.8182 0.2432 O
0.2412 0.3332 0.7451 O
0.5856 0.6848 0.7539 O
0.9004 0.0482 0.8119 O
0.2537 0.3737 0.4145 O
0.4307 0.2860 0.5269 O
0.4228 0.5219 0.7438 O
0.4039 0.8191 0.5888 O
0.6116 0.0173 0.3106 O
0.5723 0.6709 0.4668 O
0.5511 0.6500 0.3628 O
0.8981 0.8317 0.9183 O
0.9062 0.8197 0.1934 O
0.2471 0.3626 0.1333 O
0.5681 0.4571 0.2424 O
0.6640 0.4938 0.0739 O
0.2587 0.6719 0.5773 O
0.1301 0.0578 0.3091 O
0.5929 0.2075 0.6994 O
0.5223 0.2263 0.9183 O
0.5663 0.4746 0.8620 O
0.3235 0.1244 0.1293 O
0.0862 0.6879 0.0743 O
0.9377 0.3497 0.9272 O
0.3399 0.1605 0.7470 O
0.7414 0.1474 0.2442 O
0.9980 0.1744 0.5959 O
0.0166 0.2136 0.9229 O
0.4430 0.3620 0.9175 O
0.8213 0.4964 0.6260 O
0.8540 0.5935 0.5169 O
0.7715 0.8977 0.3586 O
0.3974 0.9644 0.4182 O
0.9876 0.2125 0.3148 O
0.4002 0.8136 0.1951 O
0.4366 0.5223 0.4250 O
0.0838 0.0005 0.5951 O
0.6657 0.4851 0.4683 O
0.6273 0.2072 0.8117 O
0.0730 0.4726 0.9691 O
0.2615 0.8334 0.7416 O
0.2546 0.8507 0.3611 O
0.8969 0.7806 0.3084 O
0.1435 0.4663 0.7429 O
0.7456 0.3256 0.7371 O
0.4971 0.1923 0.1993 O
0.4007 0.9945 0.0959 O
0.9335 0.5737 0.0264 O
0.9852 0.7464 0.8039 O
0.8397 0.5206 0.2458 O
0.0882 0.1725 0.6999 O
0.2584 0.6659 0.2525 O
0.7509 0.6499 0.5802 O
0.5823 0.1885 0.4235 O
0.2465 0.1607 0.2329 O
0.7588 0.8459 0.0772 O
0.1691 0.8833 0.8558 O
0.5829 0.4814 0.5727 O
0.6650 0.8512 0.9755 O
0.4368 0.5777 0.0255 O
0.5795 0.1671 0.0943 O
0.6702 0.8530 0.8605 O
0.0686 0.6601 0.3607 O
0.1648 0.8349 0.5737 O
0.2565 0.8645 0.0824 O
0.5721 0.4797 0.9668 O
0.1659 0.8454 0.9707 O
0.3402 0.5106 0.2391 O
0.4865 0.7582 0.8166 O
0.0928 0.9782 0.1974 O
0.9232 0.3241 0.2433 O
0.9447 0.5202 0.4149 O
0.3430 0.5781 0.5298 O
0.1784 0.5099 0.0803 O
0.4224 0.3211 0.2363 O
0.7601 0.8519 0.4731 O
0.9036 0.9969 0.6989 O
0.2504 0.1413 0.9203 O
0.4539 0.3548 0.6405 O
0.5883 0.9791 0.9206 O
0.0530 0.4567 0.8655 O
0.0228 0.8161 0.4169 O
0.9934 0.6882 0.7459 S
0.5259 0.3856 0.9151 S
0.0199 0.3720 0.9207 S
0.0263 0.6638 0.4139 S
0.4928 0.2971 0.2448 S
0.3332 0.6557 0.5820 S
0.5193 0.6660 0.4196 S
0.8333 0.0116 0.0817 S
0.3335 0.0261 0.0837 S
0.1418 0.3108 0.5809 Na
0.3420 0.6661 0.4116 Na
0.9775 0.2777 0.4220 Na
0.3340 0.6823 0.0831 Na
0.4839 0.2850 0.4332 Na
0.8365 0.6830 0.0891 Na
0.9985 0.6297 0.2438 Na
0.1745 0.3517 0.2545 Na
0.4800 0.6784 0.9160 Na
0.1929 0.0197 0.7463 Na
0.9953 0.9944 0.5036 Na
0.1469 0.9811 0.0806 Na
0.6782 0.0571 0.4189 Na
0.8236 0.0160 0.2567 Na
0.5093 0.0180 0.5059 Na
0.9786 0.6819 0.9288 Na
0.6814 0.0047 0.7470 Na
0.8337 0.9728 0.5844 Na
0.3291 0.3353 0.8233 Na
0.0049 0.9945 0.0032 Na
0.6699 0.2866 0.9086 Na
0.1679 0.0528 0.4132 Na
0.6950 0.3694 0.2519 Na
0.6634 0.6577 0.1668 Na
0.5055 0.9948 0.9970 Na
0.8399 0.0161 0.9070 Na
0.3363 0.9915 0.5882 Na
0.9964 0.3459 0.7361 Na
0.5007 0.3703 0.7404 Na
0.3152 0.3013 0.3350 Na
0.1535 0.6476 0.1682 Na
0.6455 0.9733 0.0777 Na
0.8419 0.6648 0.4226 Na
0.4990 0.6496 0.2459 Na
0.8156 0.3250 0.8255 Na
0.3409 0.0170 0.9056 Na
0.1753 0.2946 0.9107 Na
0.6611 0.6622 0.6635 Na
0.3223 0.6298 0.7521 Na
0.1614 0.6676 0.6649 Na
0.6542 0.3271 0.5823 Na
0.8273 0.3199 0.3321 Na
0.6680 0.9560 0.9172 Si
0.1482 0.2991 0.7500 Si
0.8512 0.0163 0.7511 Si
0.3087 0.9530 0.4174 Si
0.6769 0.0195 0.5826 Si
0.9931 0.6592 0.0824 Si
0.0027 0.3061 0.2534 Si
0.8506 0.7025 0.2478 Si
0.4920 0.3248 0.5824 Si
0.1571 0.0033 0.2502 Si
0.4879 0.6408 0.0849 Si
0.1716 0.0119 0.5847 Si
0.1685 0.3804 0.4165 Si
0.3507 0.6946 0.2494 Si
0.5025 0.6987 0.7543 Si
0.6666 0.3665 0.4160 Si
0.8189 0.9708 0.4202 Si
0.3189 0.6721 0.9211 Si
0.1778 0.3360 0.0830 Si
0.6577 0.3120 0.7518 Si
0.8364 0.6420 0.5800 Si
0.6494 0.9954 0.2501 Si
0.6699 0.3291 0.0847 Si
0.9882 0.3368 0.5850 Si
0.1665 0.9644 0.9172 Si
0.8089 0.6662 0.9174 Si
0.3503 0.9999 0.7488 Si
0.6643 0.6632 0.0189 Zr
0.1671 0.6687 0.0191 Zr
0.3301 0.3439 0.1808 Zr
0.5012 0.9926 0.1514 Zr
0.9961 0.0015 0.6492 Zr
0.6734 0.6650 0.5220 Zr
0.0081 0.0062 0.1560 Zr
0.5092 0.0122 0.6564 Zr
0.1766 0.6722 0.3091 Zr
0.8286 0.3272 0.6760 Zr
0.1636 0.6643 0.5189 Zr
0.6775 0.6839 0.8079 Zr
0.4995 0.0050 0.3486 La
0.5018 0.9955 0.8452 La
0.8254 0.3373 0.9874 La
0.3369 0.3308 0.6763 La
0.9981 0.9947 0.8457 La
0.0012 0.0071 0.3476 La
0.6752 0.6762 0.3169 La
0.3319 0.3388 0.9897 La
0.8370 0.3434 0.1771 La
0.8324 0.3357 0.4938 La
0.1736 0.6713 0.8141 La
0.3267 0.3158 0.4879 La
```

This record from the Materials Project describes Ba9La5Br33 after structural relaxation. The functional is GGA-PBE.

The formation energy comes out at -2.5057 eV per atom.

The structure in POSCAR format:
```
Ba9La5Br33
1.0
12.2415 0.0000 0.0000
-3.8985 11.6530 0.0000
-3.9042 -5.5933 22.4820
La Ba Br
10 18 66
direct
0.8570 0.3509 0.7326 La
0.1430 0.6491 0.2674 La
0.3811 0.0449 0.5866 La
0.4621 0.5347 0.6869 La
0.6254 0.4578 0.9260 La
0.5379 0.4653 0.3131 La
0.8174 0.8583 0.2353 La
0.1826 0.1417 0.7647 La
0.6189 0.9551 0.4134 La
0.3746 0.5422 0.0740 La
0.6767 0.3982 0.5400 Ba
0.8688 0.2663 0.3394 Ba
0.5275 0.9772 0.8052 Ba
0.7495 0.8749 0.6233 Ba
0.6802 0.9075 0.0343 Ba
0.0762 0.7459 0.0715 Ba
0.1368 0.2298 0.1607 Ba
0.4725 0.0228 0.1948 Ba
0.0753 0.2433 0.5648 Ba
0.9238 0.2541 0.9285 Ba
0.2505 0.1251 0.3767 Ba
0.3233 0.6018 0.4600 Ba
0.7580 0.3599 0.1222 Ba
0.3198 0.0925 0.9657 Ba
0.9247 0.7567 0.4352 Ba
0.8632 0.7702 0.8393 Ba
0.2420 0.6401 0.8778 Ba
0.1312 0.7337 0.6606 Ba
0.7604 0.9643 0.9066 Br
0.0647 0.0793 0.8729 Br
0.4782 0.1182 0.4755 Br
0.2280 0.8593 0.2168 Br
0.2500 0.3591 0.7107 Br
0.8085 0.2209 0.4749 Br
0.8737 0.6818 0.5629 Br
0.5635 0.8206 0.2630 Br
0.1586 0.0144 0.6360 Br
0.2970 0.5021 0.3066 Br
0.6536 0.1834 0.6286 Br
0.5663 0.5581 0.8209 Br
0.1127 0.8148 0.9390 Br
0.4337 0.4419 0.1791 Br
0.7518 0.4659 0.4056 Br
0.1827 0.5462 0.1456 Br
0.3428 0.6829 0.7581 Br
0.7978 0.7136 0.9694 Br
0.7720 0.1407 0.7832 Br
0.4517 0.3947 0.4234 Br
0.6572 0.3171 0.2419 Br
0.5802 0.1164 0.3398 Br
0.0330 0.1167 0.2749 Br
0.1484 0.5289 0.9841 Br
0.6212 0.2109 0.9190 Br
0.5218 0.8818 0.5245 Br
0.5483 0.6053 0.5766 Br
0.4365 0.1794 0.7370 Br
0.9815 0.3817 0.2266 Br
0.4198 0.8836 0.6602 Br
0.6475 0.7870 0.7364 Br
0.2482 0.5341 0.5944 Br
0.3464 0.8166 0.3714 Br
0.0753 0.3544 0.8218 Br
0.1599 0.0382 0.4884 Br
0.2396 0.0357 0.0934 Br
0.7030 0.4979 0.6934 Br
0.8414 0.9856 0.3640 Br
0.3584 0.2995 0.8786 Br
0.9511 0.1546 0.6755 Br
0.2022 0.2864 0.0306 Br
0.7500 0.6409 0.2893 Br
0.5504 0.1055 0.0732 Br
0.7425 0.0480 0.1943 Br
0.8173 0.4538 0.8544 Br
0.0557 0.5708 0.3740 Br
0.9670 0.8833 0.7251 Br
0.8516 0.4711 0.0159 Br
0.1263 0.3182 0.4371 Br
0.3968 0.3020 0.5903 Br
0.2575 0.9520 0.8057 Br
0.4726 0.6109 0.9653 Br
0.4496 0.8945 0.9268 Br
0.1915 0.7791 0.5251 Br
0.0489 0.8454 0.3245 Br
0.9353 0.9207 0.1271 Br
0.0185 0.6183 0.7734 Br
0.6416 0.7005 0.1214 Br
0.9443 0.4292 0.6260 Br
0.3525 0.2130 0.2636 Br
0.8873 0.1852 0.0610 Br
0.5274 0.3891 0.0347 Br
0.3788 0.7891 0.0810 Br
0.6032 0.6980 0.4097 Br
0.8401 0.9618 0.5116 Br
0.9247 0.6456 0.1782 Br
```

This record from the Materials Project describes DyNi4P2 after structural relaxation. The functional is GGA-PBE.

The formation energy comes out at -0.8312 eV per atom.

The structure in POSCAR format:
```
DyNi4P2
1.0
-4.7901 -0.9872 -5.1351
-3.5800 -4.4568 4.1963
-1.9339 2.7536 1.2747
P Ni Dy
4 8 2
direct
0.7200 0.2800 0.0000 P
0.7800 0.7800 0.5000 P
0.2200 0.2200 0.5000 P
0.2800 0.7200 0.0000 P
0.6629 0.0852 0.5000 Ni
0.4148 0.1629 0.0000 Ni
0.5852 0.8371 0.0000 Ni
0.8371 0.5852 0.0000 Ni
0.1629 0.4148 0.0000 Ni
0.3371 0.9148 0.5000 Ni
0.0852 0.6629 0.5000 Ni
0.9148 0.3371 0.5000 Ni
0.0000 0.0000 0.0000 Dy
0.5000 0.5000 0.5000 Dy
```

This record from the Materials Project describes K2NaPdF6 after structural relaxation. The functional is GGA-PBE.

The formation energy comes out at -2.4901 eV per atom.

The structure in POSCAR format:
```
K2NaPdF6
1.0
0.0000 4.3030 4.3030
4.3030 0.0000 4.3030
4.3030 4.3030 0.0000
Pd F K Na
1 6 2 1
direct
0.0000 0.0000 0.0000 Pd
0.7613 0.2387 0.2387 F
0.7613 0.7613 0.2387 F
0.2387 0.7613 0.7613 F
0.2387 0.7613 0.2387 F
0.2387 0.2387 0.7613 F
0.7613 0.2387 0.7613 F
0.7500 0.7500 0.7500 K
0.2500 0.2500 0.2500 K
0.5000 0.5000 0.5000 Na
```